i.
This record from Materials Project describes an optimized crystal structure of CaW2O4. The functional is PBE+U.

```
CaW2O4
1.0
5.686 0.000 0.000
0.000 6.569 0.000
0.000 0.000 11.166
Ca W O
4 8 16
Cartesian
2.010 0.000 5.583
3.676 3.284 0.000
0.191 0.000 0.000
5.495 3.284 5.583
0.069 3.284 2.609
0.069 3.284 8.556
5.617 0.000 2.973
5.617 0.000 8.192
2.843 1.642 2.791
2.843 4.926 8.374
2.843 4.926 2.791
2.843 1.642 8.374
2.025 3.284 1.636
2.025 3.284 9.530
3.661 0.000 3.947
3.661 0.000 7.219
3.935 3.284 3.783
3.935 3.284 7.383
1.751 0.000 1.800
1.751 0.000 9.366
0.937 1.687 3.947
0.937 4.882 7.219
4.750 4.971 1.636
4.750 1.598 9.530
4.750 1.598 1.636
4.750 4.971 9.530
0.937 4.882 3.947
0.937 1.687 7.219
```

***

ii.
This record from Materials Project describes an optimized crystal structure of CaW2O4. The functional is PBE+U.

```
CaW2O4
1.0
3.284 0.000 0.000
0.000 9.603 0.000
0.000 0.000 11.472
Ca W O
4 8 16
Cartesian
2.463 2.291 3.958
0.821 7.311 7.514
2.463 7.093 1.778
0.821 2.510 9.695
0.821 3.947 1.165
2.463 0.854 6.901
0.821 8.749 4.571
2.463 5.656 10.307
2.463 5.365 4.391
0.821 4.238 7.082
2.463 0.563 1.345
0.821 9.040 10.127
0.821 8.787 0.853
2.463 0.816 10.619
0.821 3.985 4.883
2.463 5.618 6.589
0.821 0.325 8.172
2.463 9.277 3.300
0.821 5.127 9.037
2.463 4.476 2.436
0.821 5.973 0.317
2.463 3.630 11.155
0.821 1.172 5.419
2.463 8.431 6.054
2.463 7.704 9.445
0.821 1.899 2.028
0.821 6.701 3.708
2.463 2.902 7.764
```

***

Least stable = i

***

i.
This record from Materials Project describes an optimized crystal structure of Ba2YMgNi3O8. The functional is PBE+U.

```
Ba2YMgNi3O8
1.0
4.017 0.000 0.000
0.000 3.859 0.000
0.000 0.000 14.132
Ba Y Mg Ni O
2 1 1 3 8
Cartesian
2.009 1.929 1.051
2.009 1.929 11.241
2.009 1.929 7.416
0.000 1.929 3.892
0.000 0.000 5.663
4.017 0.000 13.190
0.000 3.859 9.233
0.000 1.929 5.821
2.009 0.000 6.103
2.009 0.000 13.555
0.000 0.000 3.378
0.000 1.929 8.636
2.009 0.000 8.943
4.017 0.000 11.212
0.000 1.929 13.692
```

***

ii.
This record from Materials Project describes an optimized crystal structure of Ba2YMgNi3O8. The functional is PBE+U.

```
Ba2YMgNi3O8
1.0
3.918 0.000 0.000
0.000 3.918 0.000
0.000 0.000 13.928
Ba Y Mg Ni O
2 1 1 3 8
Cartesian
1.959 1.959 1.603
1.959 1.959 11.612
1.959 1.959 7.681
1.959 1.959 4.806
0.000 0.000 4.874
3.918 0.000 13.355
0.000 3.918 9.343
0.000 1.959 5.455
1.959 0.000 5.455
1.959 0.000 13.685
0.000 0.000 2.885
0.000 1.959 8.714
1.959 0.000 8.715
3.918 0.000 11.318
0.000 1.959 13.685
```

***

Least stable = ii

***

i.
This record from Materials Project describes an optimized crystal structure of WF5. The functional is PBE+U.

```
WF5
1.0
-1.870 2.209 4.725
1.870 -2.209 4.725
1.870 2.209 -4.725
W F
1 5
Cartesian
0.000 0.000 0.000
0.000 1.170 4.725
1.870 1.039 0.000
0.000 0.000 1.911
0.000 0.000 7.539
0.000 2.209 0.000
```

***

ii.
This record from Materials Project describes an optimized crystal structure of WF5. The functional is PBE+U.

```
WF5
1.0
1.800 -5.520 0.000
1.800 5.520 0.000
0.000 0.000 8.556
W F
2 10
Cartesian
1.800 0.000 4.278
1.800 0.000 0.000
1.800 -0.239 2.139
1.800 0.239 6.417
1.800 -4.678 5.004
1.800 4.678 3.552
1.800 -1.760 7.823
1.800 1.760 0.734
1.800 1.760 3.544
1.800 -1.760 5.012
1.800 -4.678 7.830
1.800 4.678 0.726
```

***

Least stable = i

***

i.
This record from Materials Project describes an optimized crystal structure of Ca4Al6WO16. The functional is PBE+U.

```
Ca4Al6WO16
1.0
-4.442 2.649 6.260
-3.676 2.096 -6.930
-13.325 -22.774 0.180
Ca Al W O
16 24 4 64
Cartesian
-17.794 -16.489 -0.163
-15.887 -13.663 -3.511
-14.821 -10.850 -0.749
-10.274 -12.947 0.126
-7.649 0.797 -0.659
-11.951 -7.811 -3.914
-11.826 -16.033 -3.175
-6.118 3.087 2.597
-7.051 -7.490 -0.277
-13.737 -18.307 -0.374
-18.640 -19.179 -3.362
-12.808 -8.280 3.149
-4.139 -1.807 0.178
-11.173 -4.519 -0.117
-5.530 -4.385 3.022
-9.588 -2.011 2.687
-4.620 0.768 -1.809
-16.445 -19.018 1.350
-11.074 -10.770 -5.313
-15.194 -15.978 4.763
-11.367 -10.470 -2.003
-9.382 -1.955 -0.500
-8.637 -10.233 -0.073
-6.589 -1.968 -1.967
-1.854 1.084 -0.153
-16.225 -13.641 -0.335
-13.061 -13.493 -5.156
-11.990 -15.712 -0.002
-15.044 -15.951 1.460
-6.233 -2.061 -5.252
-13.088 -13.309 -1.856
-5.499 -4.629 -0.162
-6.033 3.526 -0.498
-8.572 -4.426 4.650
-8.339 -4.730 1.366
-9.991 -7.480 4.853
-9.987 -7.612 1.520
-16.827 -18.871 4.660
-12.576 -7.931 -0.399
-4.527 0.789 -5.144
-15.378 -17.433 -3.614
-8.731 -6.034 -3.432
-12.734 -11.983 2.940
-6.087 -0.584 3.122
-8.807 -8.695 0.756
-16.647 -12.037 0.172
-5.852 -3.075 -0.846
-1.400 0.321 1.392
-14.135 -8.676 0.003
-9.018 -3.279 0.611
-11.678 -7.936 1.141
-11.064 -15.187 1.392
-3.360 0.300 -0.669
-12.683 -11.601 -1.652
-7.970 -4.216 3.016
-6.077 0.852 2.006
-15.906 -17.394 0.940
-3.973 0.880 -3.446
-5.036 -0.249 4.545
-8.298 -1.545 -1.816
-14.765 -13.383 -1.295
-10.620 -10.519 -3.627
-9.283 -4.402 -2.888
-7.777 -0.896 3.681
-4.159 -4.285 0.936
-17.371 -14.464 -1.417
-9.986 -6.760 -4.531
-8.319 -11.408 1.199
-9.783 -8.119 3.222
-5.576 2.251 -1.623
-12.228 -12.040 -5.699
-13.152 -14.001 -3.480
-9.951 -10.904 -1.025
-14.986 -18.611 -4.918
-14.634 -15.602 3.130
-14.349 -12.348 2.217
-19.425 -17.785 -1.287
-9.495 -5.826 5.186
-6.766 -5.365 0.845
-13.591 -16.124 0.520
-11.949 -8.817 -1.812
-13.932 -17.217 -2.518
-9.354 -0.478 0.490
-5.799 -0.373 -5.549
-16.755 -18.070 -2.611
-16.219 -14.688 1.071
-9.600 -5.938 1.092
-12.634 -6.240 -0.934
-5.335 -5.790 -1.466
-6.488 -2.615 -3.594
-18.170 -18.935 0.942
-14.110 -21.819 -1.393
-10.914 -2.417 -1.168
-12.846 -10.458 3.926
-11.523 -11.762 1.625
-5.817 -0.472 -1.454
-16.484 -17.165 4.989
-15.855 -15.854 -4.353
-15.291 -19.961 0.409
-16.430 -19.517 3.041
-7.452 2.931 0.348
-7.309 -10.020 -1.209
-8.498 -7.098 -1.998
-11.506 -17.122 -0.949
-7.167 -5.904 -4.368
-12.206 -13.336 4.049
-11.841 -14.322 -1.102
-5.441 -2.023 2.198
```

***

ii.
This record from Materials Project describes an optimized crystal structure of Ca4Al6WO16. The functional is PBE+U.

Maximum piezoelectric response, C/m2: 0.5

```
Ca4Al6WO16
1.0
-4.730 4.730 4.730
4.730 -4.730 4.730
4.730 4.730 -4.730
Ca Al W O
4 6 1 16
Cartesian
2.356 2.356 -2.356
2.356 -2.356 2.356
2.374 2.374 2.374
-2.356 2.356 2.356
2.365 4.730 0.000
0.000 4.730 2.365
0.000 2.365 4.730
4.730 2.365 0.000
4.730 0.000 2.365
2.365 0.000 4.730
0.000 0.000 0.000
-0.413 3.279 3.279
1.452 1.452 4.317
1.452 4.317 1.452
-1.452 5.143 1.452
-1.452 1.452 5.143
3.279 -0.413 3.279
1.452 5.143 -1.452
5.143 -1.452 1.452
5.143 1.452 -1.452
1.452 -1.452 5.143
3.279 3.279 -0.413
3.685 3.685 3.685
1.045 1.045 -1.045
-1.045 1.045 1.045
1.045 -1.045 1.045
4.317 1.452 1.452
```

***

Least stable = ii

***

i.
This record from Materials Project describes an optimized crystal structure of MgFe2O5. The functional is PBE+U.

```
MgFe2O5
1.0
2.741 2.683 0.852
-6.712 6.967 -0.350
0.487 0.731 5.187
Mg Fe O
2 4 10
Cartesian
0.693 4.186 2.702
-4.196 6.215 2.986
-3.813 9.061 1.843
-2.220 3.964 3.714
-1.263 6.413 1.985
0.333 1.318 3.837
-0.849 2.786 3.017
-2.724 7.688 2.668
1.908 3.401 1.269
0.100 5.300 1.104
-3.533 5.050 4.517
-5.366 6.930 4.492
1.823 2.700 3.747
-0.775 5.383 3.657
-2.705 4.979 2.078
-5.287 7.674 1.898
```

***

ii.
This record from Materials Project describes an optimized crystal structure of MgFe2O5. The functional is PBE+U.

```
MgFe2O5
1.0
-0.867 4.860 1.801
0.043 -2.354 -4.699
-9.494 -2.041 0.935
Mg Fe O
2 4 10
Cartesian
-3.055 2.873 0.704
-7.264 -2.408 -2.667
-6.069 2.715 1.425
-9.655 1.944 1.778
-0.664 -1.479 -3.740
-4.249 -2.249 -3.387
-1.913 4.289 1.605
-4.483 3.737 1.858
-1.123 2.512 -0.158
-4.795 1.722 0.204
-2.526 -1.312 -3.066
-7.792 1.777 1.104
-5.523 -1.257 -2.166
-5.835 -3.271 -3.820
-9.195 -2.046 -1.804
-8.405 -3.824 -3.567
```

***

Least stable = i